1.
Mn2CuO4: optimized geometry, GGA+U.

CIF file:
```
data_Mn2CuO4
_space_group_name_H-M_alt 'C 1 m 1'
_space_group_IT_number 8
_cell_length_a 10.687
_cell_length_b 5.939
_cell_length_c 14.743
_cell_angle_alpha 90.00
_cell_angle_beta 93.36
_cell_angle_gamma 90.00
loop_
_space_group_symop_operation_xyz
'x,y,z'
'x,-y,z'
'x+1/2,y+1/2,z'
'x+1/2,-y+1/2,z'
loop_
_atom_site_label
_atom_site_fract_x
_atom_site_fract_y
_atom_site_fract_z
Mn1 0.000 0.000 0.000
Mn2 0.000 0.500 0.500
Mn3 0.084 0.250 0.333
Mn4 0.165 0.500 0.667
Mn5 0.249 0.248 0.999
Mn6 0.327 0.500 0.212
Mn7 0.333 0.000 0.333
Mn8 0.414 0.251 0.666
Mn9 0.493 0.000 0.878
Cu1 0.002 0.500 0.121
Cu2 0.163 0.000 0.543
Cu3 0.166 0.000 0.165
Cu4 0.167 0.000 0.785
Cu5 0.331 0.500 0.832
Cu6 0.336 0.500 0.456
O1 0.007 0.500 0.257
O2 0.009 0.000 0.259
O3 0.071 0.275 0.588
O4 0.096 0.229 0.073
O5 0.157 0.500 0.408
O6 0.159 0.000 0.409
O7 0.176 0.000 0.923
O8 0.177 0.500 0.924
O9 0.238 0.225 0.259
O10 0.258 0.272 0.741
O11 0.323 0.500 0.073
O12 0.325 0.000 0.074
O13 0.340 0.500 0.591
O14 0.342 0.000 0.588
O15 0.403 0.275 0.926
O16 0.429 0.225 0.410
O17 0.488 0.500 0.742
O18 0.490 0.000 0.739
```

Properties
The calculation puts the MP2020-corrected energy at -646.7 eV/cell. The total energy comes out at -6.830 eV/atom. For the formation energy, the calculation gives -1.669 eV/atom. The calculation puts the total magnetic moment at 1.00 μB per atom. As for the relative energy among the computed polymorphs: 10 meV per atom.

2.
MnSnO3: optimized geometry, GGA+U.

CIF file:
```
data_MnSnO3
_space_group_name_H-M_alt 'R -3'
_space_group_IT_number 148
_space_group_name_Hall '-R 3'
_cell_length_a 5.4369
_cell_length_b 5.4369
_cell_length_c 14.7130
_cell_angle_alpha 90.00
_cell_angle_beta 90.00
_cell_angle_gamma 120.00
loop_
_atom_site_label
_atom_site_fract_x
_atom_site_fract_y
_atom_site_fract_z
Mn1 0.0000 0.0000 0.1382
Sn1 0.0000 0.0000 0.3488
O1 0.0167 0.7085 0.2536
```

Properties
The calculation puts the MP2020-corrected energy at -230.6 eV/cell. The total energy comes out at -6.941 eV/atom. For the formation energy, the calculation gives -2.084 eV/atom.

3.
MgZn2Fe2Si2O10: optimized geometry, GGA+U.

CIF file:
```
data_MgZn2Fe2Si2O10
_space_group_name_H-M_alt 'P 1'
_space_group_IT_number 1
_cell_length_a 5.414
_cell_length_b 5.465
_cell_length_c 7.226
_cell_angle_alpha 106.83
_cell_angle_beta 107.18
_cell_angle_gamma 93.64
loop_
_space_group_symop_operation_xyz
'x,y,z'
loop_
_atom_site_label
_atom_site_fract_x
_atom_site_fract_y
_atom_site_fract_z
Mg1 0.000 0.000 0.000
Zn1 0.293 0.420 0.316
Zn2 0.707 0.579 0.685
Fe1 0.500 0.000 0.000
Fe2 0.500 0.999 0.500
Si1 0.155 0.372 0.748
Si2 0.844 0.628 0.251
O1 0.149 0.682 0.851
O2 0.152 0.746 0.399
O3 0.245 0.225 0.921
O4 0.355 0.331 0.610
O5 0.373 0.071 0.231
O6 0.627 0.929 0.769
O7 0.644 0.668 0.390
O8 0.754 0.774 0.079
O9 0.848 0.253 0.600
O10 0.849 0.318 0.148
```

Properties
The calculation puts the MP2020-corrected energy at -121.4 eV/cell. The total energy comes out at -6.469 eV/atom. For the formation energy, the calculation gives -2.351 eV/atom. The calculation puts the total magnetic moment at 0.59 μB per atom. As for the relative energy among the computed polymorphs: 0 meV per atom.

4.
Mo4O5: optimized geometry, GGA+U.

CIF file:
```
data_Mo4O5
_space_group_name_H-M_alt 'I 41 m d'
_space_group_IT_number 109
_space_group_name_Hall 'I 4bw -2'
_cell_length_a 6.181
_cell_length_b 6.181
_cell_length_c 25.446
_cell_angle_alpha 90.00
_cell_angle_beta 90.00
_cell_angle_gamma 90.00
loop_
_atom_site_label
_atom_site_fract_x
_atom_site_fract_y
_atom_site_fract_z
Mo1 0.000 0.249 0.075
Mo2 0.000 0.255 0.750
Mo3 0.000 0.260 0.245
Mo4 0.000 0.270 0.919
O1 0.000 0.237 0.835
O2 0.000 0.239 0.667
O3 0.000 0.257 0.497
O4 0.000 0.273 0.324
O5 0.000 0.281 0.161
```

Properties
The calculation puts the MP2020-corrected energy at -617.2 eV/cell. The total energy comes out at -6.768 eV/atom. For the formation energy, the calculation gives -1.003 eV/atom. The calculation puts the total magnetic moment at 0.00 μB per atom.

5.
Na2LiMnP5O15: optimized geometry, GGA+U.

CIF file:
```
data_Na2LiMnP5O15
_space_group_name_H-M_alt 'P 1 21/m 1'
_space_group_IT_number 11
_cell_length_a 5.233
_cell_length_b 13.955
_cell_length_c 9.134
_cell_angle_alpha 90.00
_cell_angle_beta 104.76
_cell_angle_gamma 90.00
loop_
_space_group_symop_operation_xyz
'x,y,z'
'-x,-y,-z'
'-x,y+1/2,-z'
'x,-y+1/2,z'
loop_
_atom_site_label
_atom_site_fract_x
_atom_site_fract_y
_atom_site_fract_z
Na1 0.089 0.099 0.145
Li1 0.026 0.750 0.170
Mn1 0.500 0.000 0.500
P1 0.010 0.644 0.488
P2 0.352 0.078 0.814
P3 0.461 0.750 0.998
O1 0.056 0.250 0.464
O2 0.122 0.078 0.423
O3 0.144 0.147 0.693
O4 0.205 0.041 0.922
O5 0.219 0.750 0.871
O6 0.260 0.250 0.021
O7 0.297 0.634 0.494
O8 0.430 0.660 0.109
O9 0.496 0.011 0.735
```

Properties
The calculation puts the MP2020-corrected energy at -354.6 eV/cell. The total energy comes out at -6.888 eV/atom. For the formation energy, the calculation gives -2.595 eV/atom. The calculation puts the total magnetic moment at 0.21 μB per atom.

6.
SrCa7Ti3Mn5O21: optimized geometry, GGA+U.

CIF file:
```
data_SrCa7Ti3Mn5O21
_space_group_name_H-M_alt 'P 1'
_space_group_IT_number 1
_cell_length_a 11.185
_cell_length_b 11.232
_cell_length_c 15.563
_cell_angle_alpha 90.39
_cell_angle_beta 90.13
_cell_angle_gamma 91.24
loop_
_space_group_symop_operation_xyz
'x,y,z'
loop_
_atom_site_label
_atom_site_fract_x
_atom_site_fract_y
_atom_site_fract_z
Sr1 0.000 0.000 0.000
Sr2 0.009 0.018 0.264
Sr3 0.308 0.754 0.002
Sr4 0.773 0.282 0.266
Ca1 0.026 0.517 0.737
Ca2 0.029 0.534 0.999
Ca3 0.034 0.539 0.493
Ca4 0.036 0.522 0.258
Ca5 0.056 0.017 0.498
Ca6 0.058 0.011 0.759
Ca7 0.262 0.315 0.999
Ca8 0.283 0.261 0.742
Ca9 0.293 0.726 0.266
Ca10 0.296 0.307 0.507
Ca11 0.298 0.735 0.746
Ca12 0.305 0.266 0.255
Ca13 0.307 0.767 0.498
Ca14 0.500 0.037 0.506
Ca15 0.503 0.999 0.741
Ca16 0.521 0.492 0.742
Ca17 0.523 0.003 0.987
Ca18 0.533 0.543 0.504
Ca19 0.535 0.539 0.006
Ca20 0.537 0.006 0.283
Ca21 0.544 0.498 0.271
Ca22 0.753 0.317 0.500
Ca23 0.759 0.309 0.735
Ca24 0.765 0.318 0.001
Ca25 0.779 0.728 0.755
Ca26 0.783 0.762 0.497
Ca27 0.790 0.736 0.267
Ca28 0.801 0.749 0.996
Ti1 0.040 0.774 0.379
Ti2 0.045 0.756 0.871
Ti3 0.051 0.755 0.132
Ti4 0.054 0.771 0.625
Ti5 0.233 0.033 0.117
Ti6 0.294 0.003 0.876
Ti7 0.541 0.753 0.870
Ti8 0.561 0.772 0.137
Ti9 0.715 0.035 0.119
Ti10 0.759 0.037 0.622
Ti11 0.788 0.022 0.406
Ti12 0.802 0.011 0.847
Mn1 0.003 0.276 0.864
Mn2 0.031 0.280 0.374
Mn3 0.044 0.283 0.136
Mn4 0.045 0.287 0.629
Mn5 0.268 0.512 0.874
Mn6 0.275 0.016 0.624
Mn7 0.283 0.521 0.627
Mn8 0.285 0.513 0.128
Mn9 0.288 0.511 0.378
Mn10 0.290 0.003 0.371
Mn11 0.505 0.275 0.876
Mn12 0.525 0.272 0.626
Mn13 0.530 0.264 0.382
Mn14 0.534 0.772 0.629
Mn15 0.537 0.281 0.127
Mn16 0.538 0.767 0.379
Mn17 0.770 0.515 0.877
Mn18 0.779 0.532 0.626
Mn19 0.785 0.525 0.382
Mn20 0.788 0.520 0.129
O1 0.003 0.784 0.504
O2 0.012 0.767 0.006
O3 0.047 0.782 0.252
O4 0.067 0.226 0.747
O5 0.083 0.789 0.757
O6 0.090 0.237 0.260
O7 0.095 0.937 0.628
O8 0.103 0.930 0.127
O9 0.117 0.398 0.909
O10 0.130 0.928 0.375
O11 0.131 0.435 0.603
O12 0.132 0.430 0.105
O13 0.141 0.940 0.894
O14 0.144 0.404 0.405
O15 0.149 0.160 0.070
O16 0.150 0.181 0.573
O17 0.170 0.677 0.393
O18 0.178 0.665 0.893
O19 0.183 0.683 0.607
O20 0.190 0.684 0.126
O21 0.234 0.527 0.749
O22 0.246 0.516 0.254
O23 0.266 0.049 0.765
O24 0.291 0.988 0.497
O25 0.292 0.052 0.226
O26 0.322 0.523 0.003
O27 0.324 0.524 0.504
O28 0.326 0.974 0.033
O29 0.357 0.370 0.860
O30 0.372 0.341 0.126
O31 0.379 0.378 0.642
O32 0.387 0.870 0.648
O33 0.393 0.367 0.367
O34 0.396 0.880 0.861
O35 0.397 0.133 0.908
O36 0.398 0.864 0.351
O37 0.422 0.118 0.374
O38 0.423 0.129 0.639
O39 0.423 0.618 0.356
O40 0.424 0.621 0.652
O41 0.435 0.661 0.142
O42 0.438 0.631 0.857
O43 0.503 0.253 0.504
O44 0.506 0.758 0.503
O45 0.534 0.789 0.996
O46 0.549 0.257 0.256
O47 0.556 0.273 0.751
O48 0.570 0.952 0.134
O49 0.578 0.797 0.758
O50 0.586 0.793 0.255
O51 0.615 0.402 0.918
O52 0.626 0.949 0.621
O53 0.631 0.417 0.609
O54 0.635 0.434 0.112
O55 0.638 0.411 0.394
O56 0.645 0.004 0.865
O57 0.647 0.934 0.409
O58 0.648 0.163 0.060
O59 0.677 0.666 0.389
O60 0.683 0.671 0.888
O61 0.683 0.688 0.617
O62 0.694 0.163 0.396
O63 0.698 0.698 0.119
O64 0.707 0.184 0.612
O65 0.739 0.520 0.753
O66 0.759 0.520 0.254
O67 0.787 0.065 0.221
O68 0.801 0.947 0.048
O69 0.817 0.537 0.505
O70 0.818 0.530 0.002
O71 0.839 0.030 0.729
O72 0.840 0.993 0.523
O73 0.855 0.369 0.863
O74 0.876 0.893 0.358
O75 0.881 0.341 0.128
O76 0.885 0.874 0.866
O77 0.895 0.128 0.898
O78 0.898 0.385 0.382
O79 0.901 0.379 0.641
O80 0.928 0.663 0.654
O81 0.931 0.640 0.362
O82 0.939 0.627 0.145
O83 0.940 0.634 0.854
O84 0.944 0.133 0.396
```

Properties
The calculation puts the MP2020-corrected energy at -1189.3 eV/cell. The total energy comes out at -7.420 eV/atom. For the formation energy, the calculation gives -2.924 eV/atom. The calculation puts the total magnetic moment at 0.57 μB per atom. As for the relative energy among the computed polymorphs: 0 meV per atom.

7.
Li2CrP2O7: optimized geometry, GGA+U.

CIF file:
```
data_Li2CrP2O7
_space_group_name_H-M_alt 'P 1 21 1'
_space_group_IT_number 4
_cell_length_a 5.285
_cell_length_b 8.591
_cell_length_c 7.165
_cell_angle_alpha 90.00
_cell_angle_beta 110.14
_cell_angle_gamma 90.00
loop_
_space_group_symop_operation_xyz
'x,y,z'
'-x,y+1/2,-z'
loop_
_atom_site_label
_atom_site_fract_x
_atom_site_fract_y
_atom_site_fract_z
Li1 0.074 0.000 0.361
Li2 0.256 0.823 0.096
Cr1 0.037 0.142 0.729
P1 0.333 0.437 0.073
P2 0.341 0.341 0.478
O1 0.138 0.355 0.887
O2 0.160 0.480 0.479
O3 0.206 0.592 0.103
O4 0.216 0.189 0.518
O5 0.338 0.319 0.252
O6 0.370 0.862 0.384
O7 0.382 0.954 0.928
```

Properties
The calculation puts the MP2020-corrected energy at -181.2 eV/cell. The total energy comes out at -6.984 eV/atom. For the formation energy, the calculation gives -2.640 eV/atom. The calculation puts the total magnetic moment at 0.00 μB per atom. As for the relative energy among the computed polymorphs: 20 meV per atom.

8.
NdFe4Cu3O12: optimized geometry, GGA+U.

CIF file:
```
data_NdFe4Cu3O12
_space_group_name_H-M_alt 'I m -3'
_space_group_IT_number 204
_space_group_name_Hall '-I 2 2 3'
_cell_length_a 7.487
_cell_length_b 7.487
_cell_length_c 7.487
_cell_angle_alpha 90.00
_cell_angle_beta 90.00
_cell_angle_gamma 90.00
loop_
_atom_site_label
_atom_site_fract_x
_atom_site_fract_y
_atom_site_fract_z
Nd1 0.000 0.000 0.000
Fe1 0.250 0.250 0.250
Cu1 0.000 0.000 0.500
O1 0.000 0.166 0.310
```

Properties
The calculation puts the MP2020-corrected energy at -286.5 eV/cell. The total energy comes out at -6.300 eV/atom. For the formation energy, the calculation gives -1.647 eV/atom. The calculation puts the total magnetic moment at 1.00 μB per atom.

9.
Li9Mn2Co5O16: optimized geometry, GGA+U.

CIF file:
```
data_Li9Mn2Co5O16
_space_group_name_H-M_alt 'P -1'
_space_group_IT_number 2
_cell_length_a 5.012
_cell_length_b 5.121
_cell_length_c 11.790
_cell_angle_alpha 90.10
_cell_angle_beta 90.41
_cell_angle_gamma 108.52
loop_
_space_group_symop_operation_xyz
'x,y,z'
'-x,-y,-z'
loop_
_atom_site_label
_atom_site_fract_x
_atom_site_fract_y
_atom_site_fract_z
Li1 0.000 0.000 0.000
Li2 0.000 0.000 0.500
Li3 0.001 0.000 0.255
Li4 0.495 0.003 0.386
Li5 0.500 0.001 0.871
Li6 0.500 0.500 0.500
Mn1 0.001 0.501 0.125
Co1 0.008 0.491 0.381
Co2 0.489 0.492 0.741
Co3 0.500 0.500 0.000
O1 0.228 0.739 0.500
O2 0.234 0.729 0.239
O3 0.235 0.729 0.763
O4 0.240 0.716 0.000
O5 0.245 0.265 0.367
O6 0.251 0.280 0.884
O7 0.255 0.270 0.636
O8 0.260 0.288 0.119
```

Properties
The calculation puts the MP2020-corrected energy at -208.1 eV/cell. The total energy comes out at -5.800 eV/atom. For the formation energy, the calculation gives -1.809 eV/atom. The calculation puts the total magnetic moment at 0.31 μB per atom. As for the relative energy among the computed polymorphs: 55 meV per atom.